[1]
Computed, not measured: an optimized crystal structure of BaCa2I6 at the PBE level of DFT.

Properties
space-group type	Pbcn, No. 60
crystal system	orthorhombic
magnetization	0.01	μB/cell
energy relative to the lowest polymorph listed for this composition	0.018	eV/atom

Lattice parameters (Å, degrees): 7.4082 8.2576 27.4408 90.00 90.00 90.00
Closest atoms and distances in Å follow each position.
Fractional positions:
I1 0.7444 0.4419 0.2893  2 Ca 3.17-3.18, 1 Ba 3.47
I2 0.7444 0.9419 0.7107  2 Ca 3.17-3.18, 1 Ba 3.47
I3 0.2313 0.0669 0.9658  2 Ca 3.14-3.17, 1 Ba 3.47
I4 0.2564 0.6059 0.8714  2 Ca 3.18-3.19, 1 Ba 3.45
I5 0.7687 0.4331 0.9658  2 Ca 3.14-3.17, 1 Ba 3.47
I6 0.2444 0.0581 0.7893  2 Ca 3.17-3.18, 1 Ba 3.47
I7 0.7556 0.9419 0.2107  2 Ca 3.17-3.18, 1 Ba 3.47
I8 0.7436 0.8941 0.8714  2 Ca 3.18-3.19, 1 Ba 3.45
I9 0.2436 0.6059 0.3714  2 Ca 3.18-3.19, 1 Ba 3.45
I10 0.2444 0.5581 0.2107  2 Ca 3.17-3.18, 1 Ba 3.47
I11 0.7556 0.4419 0.7893  2 Ca 3.17-3.18, 1 Ba 3.47
I12 0.2313 0.5669 0.0342  2 Ca 3.14-3.17, 1 Ba 3.47
I13 0.2556 0.5581 0.7107  2 Ca 3.17-3.18, 1 Ba 3.47
I14 0.2687 0.5669 0.5342  2 Ca 3.14-3.17, 1 Ba 3.47
I15 0.2436 0.1059 0.6286  2 Ca 3.18-3.19, 1 Ba 3.45
I16 0.7436 0.3941 0.1286  2 Ca 3.18-3.19, 1 Ba 3.45
I17 0.7313 0.4331 0.4658  2 Ca 3.14-3.17, 1 Ba 3.47
I18 0.7564 0.8941 0.3714  2 Ca 3.18-3.19, 1 Ba 3.45
I19 0.2564 0.1059 0.1286  2 Ca 3.18-3.19, 1 Ba 3.45
I20 0.7313 0.9331 0.5342  2 Ca 3.14-3.17, 1 Ba 3.47
I21 0.7687 0.9331 0.0342  2 Ca 3.14-3.17, 1 Ba 3.47
I22 0.2556 0.0581 0.2893  2 Ca 3.17-3.18, 1 Ba 3.47
I23 0.2687 0.0669 0.4658  2 Ca 3.14-3.17, 1 Ba 3.47
I24 0.7564 0.3941 0.6286  2 Ca 3.18-3.19, 1 Ba 3.45
Ca1 0.0000 0.7500 0.2866  6 I 3.17-3.18
Ca2 0.5000 0.2500 0.5459  6 I 3.14-3.19
Ca3 0.5000 0.2500 0.2134  6 I 3.17-3.18
Ca4 0.0000 0.7500 0.9541  6 I 3.14-3.19
Ca5 0.0000 0.2500 0.7134  6 I 3.17-3.18
Ca6 0.0000 0.2500 0.0459  6 I 3.14-3.19
Ca7 0.5000 0.7500 0.7866  6 I 3.17-3.18
Ca8 0.5000 0.7500 0.4541  6 I 3.14-3.19
Ba1 0.5000 0.2500 0.8783  6 I 3.45-3.47
Ba2 0.5000 0.7500 0.1217  6 I 3.45-3.47
Ba3 0.0000 0.2500 0.3783  6 I 3.45-3.47
Ba4 0.0000 0.7500 0.6217  6 I 3.45-3.47


[2]
Computed, not measured: an optimized crystal structure of La3Pb3I13O40 at the PBE level of DFT.

Properties
space-group type	R3c, No. 161
crystal system	trigonal
magnetization	0.00	μB/cell

Lattice parameters (Å, degrees): 13.7990 13.7990 13.7990 108.95 108.95 108.95
Closest atoms and distances in Å follow each position.
Fractional positions:
I1 0.6382 0.3443 0.9484  3 O 1.83-1.85
I2 0.9184 0.9184 0.9184  3 O 1.84
I3 0.0882 0.5501 0.1413  3 O 1.82-1.84
I4 0.3017 0.9277 0.3261  3 O 1.83-1.86
I5 0.5501 0.1413 0.0882  3 O 1.82-1.84
I6 0.3590 0.4654 0.7021  3 O 1.82-1.86
I7 0.1382 0.4484 0.8443  3 O 1.83-1.85
I8 0.4277 0.8017 0.8261  3 O 1.83-1.86
I9 0.8017 0.8261 0.4277  3 O 1.83-1.86
I10 0.7021 0.3590 0.4654  3 O 1.82-1.86
I11 0.9484 0.6382 0.3443  3 O 1.83-1.85
I12 0.4654 0.7021 0.3590  3 O 1.82-1.86
I13 0.4184 0.4184 0.4184  3 O 1.84
I14 0.6413 0.0501 0.5882  3 O 1.82-1.84
I15 0.2021 0.9654 0.8590  3 O 1.82-1.86
I16 0.0501 0.5882 0.6413  3 O 1.82-1.84
I17 0.9654 0.8590 0.2021  3 O 1.82-1.86
I18 0.8590 0.2021 0.9654  3 O 1.82-1.86
I19 0.1413 0.0882 0.5501  3 O 1.82-1.84
I20 0.8443 0.1382 0.4484  3 O 1.83-1.85
I21 0.8261 0.4277 0.8017  3 O 1.83-1.86
I22 0.3443 0.9484 0.6382  3 O 1.83-1.85
I23 0.9277 0.3261 0.3017  3 O 1.83-1.86
I24 0.5882 0.6413 0.0501  3 O 1.82-1.84
I25 0.3261 0.3017 0.9277  3 O 1.83-1.86
I26 0.4484 0.8443 0.1382  3 O 1.83-1.85
O1 0.9228 0.8510 0.3940  1 I 1.83
O2 0.2392 0.9800 0.6773  1 I 1.83
O3 0.2629 0.9134 0.1783  1 I 1.86
O4 0.5132 0.2484 0.8013  1 I 1.83
O5 0.9321 0.9749 0.1865  1 I 1.86
O6 0.1447 0.6860 0.1334  1 I 1.84
O7 0.0824 0.9982 0.8195  1 I 1.82
O8 0.3940 0.9228 0.8510  1 I 1.83
O9 0.6865 0.4749 0.4321  1 I 1.86
O10 0.1506 0.1506 0.1506  3 Pb 2.34
O11 0.3233 0.1149 0.9633  1 I 1.84
O12 0.4656 0.0468 0.1293  1 I 1.82
O13 0.4294 0.3514 0.2864  1 I 1.84
O14 0.1334 0.1447 0.6860  1 I 1.84
O15 0.5468 0.9656 0.6293  1 I 1.82
O16 0.6773 0.2392 0.9800  1 I 1.83
O17 0.8940 0.3510 0.4228  1 I 1.83
O18 0.3514 0.2864 0.4294  1 I 1.84
O19 0.8013 0.5132 0.2484  1 I 1.83
O20 0.9633 0.3233 0.1149  1 I 1.84
O21 0.3841 0.0872 0.3952  1 I 1.83
O22 0.1865 0.9321 0.9749  1 I 1.86
O23 0.2106 0.5945 0.2811  1 I 1.84
O24 0.4321 0.6865 0.4749  1 I 1.86
O25 0.8841 0.8952 0.5872  1 I 1.83
O26 0.3510 0.4228 0.8940  1 I 1.83
O27 0.5872 0.8841 0.8952  1 I 1.83
O28 0.7106 0.7811 0.0945  1 I 1.84
O29 0.6860 0.1334 0.1447  1 I 1.84
O30 0.0132 0.3013 0.7484  1 I 1.83
O31 0.0285 0.5542 0.3539  1 I 1.85
O32 0.8539 0.0542 0.5285  1 I 1.85
O33 0.3539 0.0285 0.5542  1 I 1.85
O34 0.2864 0.4294 0.3514  1 I 1.84
O35 0.5542 0.3539 0.0285  1 I 1.85
O36 0.4749 0.4321 0.6865  1 I 1.86
O37 0.4633 0.6149 0.8233  1 I 1.84
O38 0.3952 0.3841 0.0872  1 I 1.83
O39 0.3195 0.4982 0.5824  1 I 1.82
O40 0.5285 0.8539 0.0542  1 I 1.85
O41 0.9800 0.6773 0.2392  1 I 1.83
O42 0.8514 0.9294 0.7864  1 I 1.84
O43 0.7484 0.0132 0.3013  1 I 1.83
O44 0.6506 0.6506 0.6506  3 Pb 2.34
O45 0.1149 0.9633 0.3233  1 I 1.84
O46 0.0872 0.3952 0.3841  1 I 1.83
O47 0.1293 0.4656 0.0468  1 I 1.82
O48 0.4982 0.5824 0.3195  1 I 1.82
O49 0.1783 0.2629 0.9134  1 I 1.86
O50 0.4800 0.7392 0.1773  1 I 1.83
O51 0.1773 0.4800 0.7392  1 I 1.83
O52 0.0945 0.7106 0.7811  1 I 1.84
O53 0.7864 0.8514 0.9294  1 I 1.84
O54 0.8952 0.5872 0.8841  1 I 1.83
O55 0.6783 0.4134 0.7629  1 I 1.86
O56 0.7629 0.6783 0.4134  1 I 1.86
O57 0.9294 0.7864 0.8514  1 I 1.84
O58 0.9982 0.8195 0.0824  1 I 1.82
O59 0.7392 0.1773 0.4800  1 I 1.83
O60 0.4228 0.8940 0.3510  1 I 1.83
O61 0.9656 0.6293 0.5468  1 I 1.82
O62 0.7811 0.0945 0.7106  1 I 1.84
O63 0.4134 0.7629 0.6783  1 I 1.86
O64 0.9749 0.1865 0.9321  1 I 1.86
O65 0.1860 0.6447 0.6334  1 I 1.84
O66 0.6293 0.5468 0.9656  1 I 1.82
O67 0.8233 0.4633 0.6149  1 I 1.84
O68 0.5824 0.3195 0.4982  1 I 1.82
O69 0.8195 0.0824 0.9982  1 I 1.82
O70 0.6334 0.1860 0.6447  1 I 1.84
O71 0.0542 0.5285 0.8539  1 I 1.85
O72 0.6447 0.6334 0.1860  1 I 1.84
O73 0.8510 0.3940 0.9228  1 I 1.83
O74 0.0468 0.1293 0.4656  1 I 1.82
O75 0.5945 0.2811 0.2106  1 I 1.84
O76 0.6149 0.8233 0.4633  1 I 1.84
O77 0.2484 0.8013 0.5132  1 I 1.83
O78 0.3013 0.7484 0.0132  1 I 1.83
O79 0.9134 0.1783 0.2629  1 I 1.86
O80 0.2811 0.2106 0.5945  1 I 1.84
Pb1 0.6172 0.8105 0.6772  2 O 2.34-2.58
Pb2 0.6772 0.6172 0.8105  2 O 2.34-2.58
Pb3 0.1772 0.3105 0.1172  2 O 2.34-2.58
Pb4 0.3105 0.1172 0.1772  2 O 2.34-2.58
Pb5 0.1172 0.1772 0.3105  2 O 2.34-2.58
Pb6 0.8105 0.6772 0.6172  2 O 2.34-2.58
La1 0.2404 0.6019 0.4749  8 O 2.49-2.60
La2 0.6019 0.4749 0.2404  8 O 2.49-2.60
La3 0.7404 0.9749 0.1019  8 O 2.49-2.60
La4 0.9749 0.1019 0.7404  8 O 2.49-2.60
La5 0.4749 0.2404 0.6019  8 O 2.49-2.60
La6 0.1019 0.7404 0.9749  8 O 2.49-2.60


[3]
Computed, not measured: an optimized crystal structure of La4SnSb2 at the PBE level of DFT.

Properties
space-group type	I-42d, No. 122
crystal system	tetragonal

Lattice parameters (Å, degrees): 8.4109 8.4109 8.4109 109.58 109.58 109.26
Closest atoms and distances in Å follow each position.
Fractional positions:
La1 0.9801 0.3753 0.2507  4 Sb 3.24-3.48, 2 Sn 3.25-3.48
La2 0.1253 0.2301 0.7507  4 Sb 3.24-3.48, 2 Sn 3.25-3.48
La3 0.7699 0.5206 0.8952  4 Sb 3.24-3.48, 2 Sn 3.25-3.48
La4 0.4794 0.3746 0.2493  4 Sb 3.24-3.48, 2 Sn 3.25-3.48
La5 0.1246 0.7294 0.7493  4 Sb 3.24-3.48, 2 Sn 3.25-3.48
La6 0.6254 0.8747 0.1048  4 Sb 3.24-3.48, 2 Sn 3.25-3.48
La7 0.6247 0.8754 0.6048  4 Sb 3.24-3.48, 2 Sn 3.25-3.48
La8 0.2706 0.0199 0.3952  4 Sb 3.24-3.48, 2 Sn 3.25-3.48
Sn1 0.0000 0.0000 0.0000  8 La 3.25-3.48
Sn2 0.7500 0.2500 0.5000  8 La 3.25-3.48
Sb1 0.4997 0.1250 0.8747  8 La 3.24-3.48
Sb2 0.3750 0.5003 0.6253  8 La 3.24-3.48
Sb3 0.8750 0.7497 0.3747  8 La 3.24-3.48
Sb4 0.2503 0.6250 0.1253  8 La 3.24-3.48


[4]
Computed, not measured: an optimized crystal structure of Ce3Cu at the PBE level of DFT.

Properties
space-group type	I4/mmm, No. 139
crystal system	tetragonal
magnetization	1.31	μB/cell

Lattice parameters (Å, degrees): 5.6541 5.6541 5.6541 133.55 133.55 67.80
Closest atoms and distances in Å follow each position.
Fractional positions:
Ce1 0.7500 0.2500 0.5000  8 Ce 3.15-3.24, 4 Cu 3.24
Ce2 0.5000 0.5000 0.0000  4 Cu 3.15, 8 Ce 3.24
Ce3 0.2500 0.7500 0.5000  8 Ce 3.15-3.24, 4 Cu 3.24
Cu1 0.0000 0.0000 0.0000  12 Ce 3.15-3.24


[5]
Computed, not measured: an optimized crystal structure of Al2Si2O11 at the PBE level of DFT.

Properties
space-group type	Cm, No. 8
crystal system	monoclinic
magnetization	1.67	μB/cell
energy relative to the lowest polymorph listed for this composition	0.243	eV/atom

Lattice parameters (Å, degrees): 5.2603 5.2603 11.9892 77.96 102.04 61.10
Closest atoms and distances in Å follow each position.
Fractional positions:
O1 0.1087 0.1426 0.8933  1 O 1.32
O2 0.2236 0.2442 0.4088  1 Si 1.66
O3 0.1352 0.8648 0.5696  2 Si 1.64
O4 0.9209 0.0791 0.8322  2 O 1.32
O5 0.6580 0.7093 0.0709  2 Al 1.70-1.71
O6 0.1887 0.3147 0.6206  2 Si 1.65
O7 0.6853 0.8113 0.6206  2 Si 1.65
O8 0.7558 0.7764 0.4088  1 Si 1.66
O9 0.2907 0.3420 0.0709  2 Al 1.70-1.71
O10 0.0982 0.9018 0.1317  2 Al 1.71
O11 0.8574 0.8913 0.8933  1 O 1.32
Al1 0.0007 0.6749 0.0761  3 O 1.70-1.71
Al2 0.3251 0.9993 0.0761  3 O 1.70-1.71
Si1 0.3043 0.0554 0.5541  4 O 1.64-1.66
Si2 0.9446 0.6957 0.5541  4 O 1.64-1.66


Number 1: calculated formation energy -1899 meV per atom, total DFT energy (no corrections) -3.32 eV per atom. Number 2: calculated formation energy -1367 meV per atom, total DFT energy (no corrections) -5.03 eV per atom. Number 3: calculated formation energy -1067 meV per atom, total DFT energy (no corrections) -5.59 eV per atom. Number 4: calculated formation energy 101 meV per atom, total DFT energy (no corrections) -5.37 eV per atom. Number 5: calculated formation energy -1630 meV per atom, total DFT energy (no corrections) -6.48 eV per atom.